Crystalline Al2FeS4 at its relaxed geometry, computed with GGA-PBE.

Summary:
The density is 3.0 g/cm³. Its symmetry is No. 166. For the final energy, the calculation gives -5.417 eV/atom.

a = 12.116 Å, b = 12.116 Å, c = 12.116 Å
α = 16.89°, β = 16.89°, γ = 16.89°
Element x y z (fractional)
Al  0.241  0.241  0.241
Al  0.759  0.759  0.759
S  0.696  0.696  0.696
S  0.304  0.304  0.304
S  0.120  0.120  0.120
S  0.880  0.880  0.880
Fe  0.000  0.000  0.000

Crystalline AlFe2S4 at its relaxed geometry, computed with GGA-PBE.

Summary:
The distance to the lowest polymorph of the same formula comes out at 0.0 meV/atom. The density is 3.8 g/cm³. Its symmetry is No. 15. For the final energy, the calculation gives -5.880 eV/atom.

a = 6.896 Å, b = 6.896 Å, c = 6.905 Å
α = 118.67°, β = 120.50°, γ = 90.65°
Element x y z (fractional)
S  0.753  0.223  0.968
S  0.252  0.762  0.489
S  0.755  0.785  0.532
S  0.247  0.777  0.032
S  0.772  0.763  0.011
S  0.748  0.238  0.511
S  0.245  0.215  0.468
S  0.228  0.237  0.989
Fe  0.634  0.384  0.250
Fe  0.366  0.616  0.750
Fe  0.500  0.000  0.500
Fe  0.000  0.000  0.000
Al  0.000  0.500  0.000
Al  0.000  0.000  0.500

Crystalline ScAl8Fe4 at its relaxed geometry, computed with GGA-PBE.

Summary:
The density is 4.3 g/cm³. Its symmetry is No. 139. For the final energy, the calculation gives -5.824 eV/atom.

a = 6.574 Å, b = 6.574 Å, c = 6.574 Å
α = 98.32°, β = 98.32°, γ = 135.27°
Element x y z (fractional)
Sc  0.000  0.000  0.000
Al  0.282  0.500  0.782
Al  0.664  0.000  0.664
Al  0.000  0.664  0.664
Al  0.336  0.000  0.336
Al  0.718  0.500  0.218
Al  0.500  0.282  0.782
Al  0.000  0.336  0.336
Al  0.500  0.718  0.218
Fe  0.500  0.500  0.500
Fe  0.500  0.000  0.000
Fe  0.000  0.000  0.500
Fe  0.000  0.500  0.000

Crystalline Al3Fe2Si3 at its relaxed geometry, computed with GGA-PBE.

Summary:
The density is 4.3 g/cm³. Its symmetry is No. 14. For the final energy, the calculation gives -5.905 eV/atom.

a = 8.358 Å, b = 7.136 Å, c = 15.635 Å
α = 66.76°, β = 90.00°, γ = 90.00°
Element x y z (fractional)
Si  0.125  0.263  0.828
Si  0.611  0.831  0.373
Si  0.646  0.170  0.124
Si  0.625  0.737  0.672
Si  0.122  0.816  0.652
Si  0.128  0.611  0.989
Si  0.622  0.184  0.848
Si  0.375  0.263  0.328
Si  0.378  0.816  0.152
Si  0.854  0.170  0.624
Si  0.889  0.831  0.873
Si  0.621  0.639  0.966
Si  0.879  0.639  0.466
Si  0.872  0.389  0.011
Si  0.878  0.184  0.348
Si  0.121  0.361  0.534
Si  0.628  0.389  0.511
Si  0.354  0.830  0.876
Si  0.379  0.361  0.034
Si  0.146  0.830  0.376
Si  0.111  0.169  0.127
Si  0.875  0.737  0.172
Si  0.372  0.611  0.489
Si  0.389  0.169  0.627
Al  0.614  0.103  0.444
Al  0.047  0.492  0.331
Al  0.623  0.376  0.675
Al  0.886  0.103  0.944
Al  0.123  0.624  0.825
Al  0.378  0.075  0.223
Al  0.863  0.899  0.550
Al  0.453  0.492  0.831
Al  0.953  0.508  0.669
Al  0.705  0.490  0.322
Al  0.363  0.101  0.950
Al  0.137  0.101  0.450
Al  0.877  0.376  0.175
Al  0.295  0.510  0.678
Al  0.377  0.624  0.325
Al  0.878  0.925  0.277
Al  0.795  0.490  0.822
Al  0.622  0.925  0.777
Al  0.122  0.075  0.723
Al  0.547  0.508  0.169
Al  0.114  0.897  0.056
Al  0.205  0.510  0.178
Al  0.386  0.897  0.556
Al  0.637  0.899  0.050
Fe  0.863  0.175  0.771
Fe  0.617  0.828  0.227
Fe  0.623  0.704  0.530
Fe  0.377  0.296  0.470
Fe  0.363  0.825  0.729
Fe  0.877  0.704  0.030
Fe  0.383  0.172  0.773
Fe  0.627  0.298  0.965
Fe  0.117  0.172  0.273
Fe  0.373  0.702  0.035
Fe  0.123  0.296  0.970
Fe  0.127  0.702  0.535
Fe  0.637  0.175  0.271
Fe  0.137  0.825  0.229
Fe  0.873  0.298  0.465
Fe  0.883  0.828  0.727

Crystalline AlFe2Si at its relaxed geometry, computed with GGA-PBE.

Summary:
The density is 6.3 g/cm³. Its symmetry is No. 225. For the final energy, the calculation gives -6.990 eV/atom.

a = 3.964 Å, b = 3.964 Å, c = 3.964 Å
α = 60.00°, β = 60.00°, γ = 60.00°
Element x y z (fractional)
Si  0.000  0.000  0.000
Fe  0.250  0.250  0.250
Fe  0.750  0.750  0.750
Al  0.500  0.500  0.500

Crystalline Al3Fe2Si at its relaxed geometry, computed with GGA-PBE.

Summary:
The density is 4.7 g/cm³. Its symmetry is No. 227. For the final energy, the calculation gives -6.002 eV/atom.

a = 7.599 Å, b = 7.599 Å, c = 7.599 Å
α = 60.00°, β = 60.00°, γ = 60.00°
Element x y z (fractional)
Si  0.625  0.125  0.625
Si  0.125  0.625  0.625
Si  0.625  0.625  0.125
Si  0.625  0.625  0.625
Fe  0.770  0.410  0.410
Fe  0.410  0.410  0.410
Fe  0.840  0.840  0.480
Fe  0.840  0.480  0.840
Fe  0.840  0.840  0.840
Fe  0.410  0.770  0.410
Fe  0.410  0.410  0.770
Fe  0.480  0.840  0.840
Al  0.050  0.450  0.050
Al  0.450  0.450  0.050
Al  0.200  0.200  0.800
Al  0.450  0.050  0.450
Al  0.200  0.800  0.200
Al  0.200  0.800  0.800
Al  0.450  0.050  0.050
Al  0.800  0.800  0.200
Al  0.050  0.450  0.450
Al  0.800  0.200  0.800
Al  0.800  0.200  0.200
Al  0.050  0.050  0.450

Crystalline Al53Fe17Si12 at its relaxed geometry, computed with GGA-PBE.

Summary:
The density is 3.8 g/cm³. Its symmetry is No. 2. For the final energy, the calculation gives -5.282 eV/atom.

a = 8.783 Å, b = 8.791 Å, c = 16.861 Å
α = 99.89°, β = 100.22°, γ = 109.20°
Element x y z (fractional)
Al  0.691  0.943  0.926
Al  0.750  0.790  0.047
Al  0.979  0.323  0.733
Al  0.759  0.221  0.450
Al  0.792  0.648  0.723
Al  0.437  0.161  0.375
Al  0.696  0.460  0.375
Al  0.110  0.441  0.465
Al  0.710  0.359  0.781
Al  0.500  0.000  0.500
Al  0.802  0.540  0.122
Al  0.391  0.557  0.035
Al  0.632  0.756  0.469
Al  0.890  0.559  0.535
Al  0.578  0.614  0.192
Al  0.198  0.460  0.878
Al  0.609  0.443  0.965
Al  0.380  0.070  0.824
Al  0.802  0.705  0.896
Al  0.173  0.937  0.417
Al  0.422  0.386  0.808
Al  0.058  0.847  0.116
Al  0.250  0.210  0.953
Al  0.922  0.386  0.307
Al  0.564  0.899  0.343
Al  0.118  0.928  0.680
Al  0.122  0.764  0.971
Al  0.702  0.248  0.160
Al  0.942  0.153  0.884
Al  0.200  0.250  0.662
Al  0.436  0.101  0.657
Al  0.208  0.352  0.277
Al  0.800  0.750  0.338
Al  0.878  0.236  0.029
Al  0.198  0.295  0.104
Al  0.290  0.641  0.219
Al  0.620  0.930  0.176
Al  0.524  0.680  0.772
Al  0.713  0.312  0.612
Al  0.939  0.093  0.147
Al  0.882  0.072  0.320
Al  0.241  0.779  0.550
Al  0.021  0.677  0.267
Al  0.061  0.907  0.853
Al  0.309  0.057  0.074
Al  0.563  0.839  0.625
Al  0.287  0.688  0.388
Al  0.476  0.320  0.228
Al  0.827  0.063  0.583
Al  0.368  0.244  0.531
Al  0.298  0.752  0.840
Al  0.078  0.614  0.693
Al  0.304  0.540  0.625
Si  0.631  0.019  0.776
Si  0.132  0.022  0.271
Si  0.539  0.144  0.991
Si  0.369  0.981  0.224
Si  0.407  0.455  0.429
Si  0.909  0.453  0.929
Si  0.966  0.859  0.511
Si  0.034  0.141  0.489
Si  0.868  0.978  0.729
Si  0.461  0.856  0.009
Si  0.091  0.547  0.071
Si  0.593  0.545  0.571
Fe  0.862  0.837  0.203
Fe  0.487  0.341  0.082
Fe  0.361  0.837  0.703
Fe  0.810  0.793  0.603
Fe  0.639  0.163  0.297
Fe  0.513  0.659  0.918
Fe  0.190  0.207  0.397
Fe  0.987  0.341  0.581
Fe  0.000  0.000  0.000
Fe  0.993  0.594  0.829
Fe  0.138  0.163  0.797
Fe  0.507  0.404  0.670
Fe  0.689  0.207  0.896
Fe  0.493  0.596  0.330
Fe  0.311  0.793  0.104
Fe  0.007  0.406  0.171
Fe  0.013  0.659  0.419

Crystalline TbAl9Fe4Si6 at its relaxed geometry, computed with GGA-PBE.

Summary:
The density is 4.6 g/cm³. Its symmetry is No. 137. For the final energy, the calculation gives -5.635 eV/atom.

a = 8.665 Å, b = 8.665 Å, c = 15.237 Å
α = 90.00°, β = 90.00°, γ = 90.00°
Element x y z (fractional)
Al  0.000  0.683  0.911
Al  0.702  0.746  0.331
Al  0.000  0.317  0.911
Al  0.345  0.500  0.103
Al  0.254  0.702  0.669
Al  0.798  0.754  0.169
Al  0.298  0.254  0.331
Al  0.500  0.500  0.273
Al  0.500  0.500  0.727
Al  0.754  0.202  0.831
Al  0.000  0.845  0.603
Al  0.500  0.655  0.897
Al  0.298  0.746  0.331
Al  0.746  0.298  0.669
Al  0.754  0.798  0.831
Al  0.317  0.000  0.089
Al  0.254  0.298  0.669
Al  0.683  0.000  0.089
Al  0.246  0.798  0.831
Al  0.655  0.500  0.103
Al  0.746  0.702  0.669
Al  0.246  0.202  0.831
Al  0.702  0.254  0.331
Al  0.500  0.817  0.589
Al  0.155  0.000  0.397
Al  0.798  0.246  0.169
Al  0.202  0.246  0.169
Al  0.202  0.754  0.169
Al  0.183  0.500  0.411
Al  0.817  0.500  0.411
Al  0.000  0.155  0.603
Al  0.000  0.000  0.773
Al  0.500  0.183  0.589
Al  0.000  0.000  0.227
Al  0.500  0.345  0.897
Al  0.845  0.000  0.397
Fe  0.277  0.000  0.250
Fe  0.000  0.723  0.750
Fe  0.500  0.777  0.750
Fe  0.745  0.255  0.500
Fe  0.223  0.500  0.250
Fe  0.245  0.245  0.000
Fe  0.745  0.745  0.500
Fe  0.777  0.500  0.250
Fe  0.245  0.755  0.000
Fe  0.723  0.000  0.250
Fe  0.755  0.755  0.000
Fe  0.500  0.223  0.750
Fe  0.255  0.745  0.500
Fe  0.755  0.245  0.000
Fe  0.255  0.255  0.500
Fe  0.000  0.277  0.750
Si  0.362  0.000  0.720
Si  0.261  0.000  0.561
Si  0.000  0.156  0.056
Si  0.500  0.344  0.444
Si  0.739  0.000  0.561
Si  0.500  0.761  0.061
Si  0.000  0.261  0.439
Si  0.000  0.739  0.439
Si  0.000  0.638  0.280
Si  0.344  0.500  0.556
Si  0.844  0.000  0.944
Si  0.500  0.138  0.220
Si  0.500  0.656  0.444
Si  0.156  0.000  0.944
Si  0.000  0.844  0.056
Si  0.761  0.500  0.939
Si  0.656  0.500  0.556
Si  0.239  0.500  0.939
Si  0.500  0.239  0.061
Si  0.138  0.500  0.780
Si  0.000  0.362  0.280
Si  0.500  0.862  0.220
Si  0.638  0.000  0.720
Si  0.862  0.500  0.780
Tb  0.000  0.500  0.586
Tb  0.500  0.000  0.414
Tb  0.000  0.500  0.086
Tb  0.500  0.000  0.914

no.,energy of formation from the pure elements (eV/f.u.)
1,-7.42
2,-5.94
3,-5.53
4,-2.57
5,-1.78
6,-2.34
7,-24.62
8,-7.49